# EuPb, relaxed, DFT GGA-PBE
data_EuPb
_chemical_formula_sum 'Eu1 Pb1'
_symmetry_space_group_name_H-M 'P 1'
_symmetry_Int_Tables_number 1
_cell_length_a 3.6788
_cell_length_b 4.1470
_cell_length_c 4.1470
_cell_angle_alpha 90.00
_cell_angle_beta 90.00
_cell_angle_gamma 90.00
loop_
_symmetry_equiv_pos_as_xyz
'x,y,z'
loop_
_atom_site_label
_atom_site_fract_x
_atom_site_fract_y
_atom_site_fract_z
_atom_site_occupancy
Pb1 0.5000 0.5000 0.5000 1
Eu1 0.0000 0.0000 0.0000 1
# - SG = No. 123
# - energy relative to the elements (eV/atom) = -0.521
# - density (g cm⁻³) = 9.4

# Sm3SnN, relaxed, DFT GGA-PBE
data_Sm3SnN
_chemical_formula_sum 'Sm3 Sn1 N1'
_symmetry_space_group_name_H-M 'P 1'
_symmetry_Int_Tables_number 1
_cell_length_a 4.9338
_cell_length_b 4.9338
_cell_length_c 4.9338
_cell_angle_alpha 90.00
_cell_angle_beta 90.00
_cell_angle_gamma 90.00
loop_
_symmetry_equiv_pos_as_xyz
'x,y,z'
loop_
_atom_site_label
_atom_site_fract_x
_atom_site_fract_y
_atom_site_fract_z
_atom_site_occupancy
Sm1 0.5000 0.0000 0.0000 1
Sm2 0.0000 0.0000 0.5000 1
Sm3 0.0000 0.5000 0.0000 1
N1 0.0000 0.0000 0.0000 1
Sn1 0.5000 0.5000 0.5000 1
# - SG = No. 221
# - MP2020-corrected energy (eV/atom) = -6.367
# - energy relative to the elements (eV/atom) = -1.067
# - density (g cm⁻³) = 8.1

# Nb5Se4, relaxed, DFT GGA-PBE
data_Nb5Se4
_chemical_formula_sum 'Nb5 Se4'
_symmetry_space_group_name_H-M 'P 1'
_symmetry_Int_Tables_number 1
_cell_length_a 3.4523
_cell_length_b 7.2921
_cell_length_c 7.2921
_cell_angle_alpha 86.79
_cell_angle_beta 76.31
_cell_angle_gamma 76.31
loop_
_symmetry_equiv_pos_as_xyz
'x,y,z'
loop_
_atom_site_label
_atom_site_fract_x
_atom_site_fract_y
_atom_site_fract_z
_atom_site_occupancy
Nb1 0.6967 0.6786 0.9281 1
Nb2 0.3753 0.9281 0.3214 1
Nb3 0.0000 0.0000 0.0000 1
Nb4 0.6247 0.0719 0.6786 1
Nb5 0.3033 0.3214 0.0719 1
Se1 0.7190 0.2222 0.3399 1
Se2 0.9412 0.3399 0.7778 1
Se3 0.2810 0.7778 0.6601 1
Se4 0.0588 0.6601 0.2222 1
# - SG = No. 87
# - MP2020-corrected energy (eV/atom) = -8.046
# - energy relative to the elements (eV/atom) = -0.881
# - density (g cm⁻³) = 7.5

# Ac2CuGe, relaxed, DFT GGA-PBE
data_Ac2CuGe
_chemical_formula_sum 'Ac2 Cu1 Ge1'
_symmetry_space_group_name_H-M 'P 1'
_symmetry_Int_Tables_number 1
_cell_length_a 5.4464
_cell_length_b 5.4464
_cell_length_c 5.4464
_cell_angle_alpha 60.00
_cell_angle_beta 60.00
_cell_angle_gamma 60.00
loop_
_symmetry_equiv_pos_as_xyz
'x,y,z'
loop_
_atom_site_label
_atom_site_fract_x
_atom_site_fract_y
_atom_site_fract_z
_atom_site_occupancy
Ac1 0.2500 0.2500 0.2500 1
Ac2 0.7500 0.7500 0.7500 1
Ge1 0.0000 0.0000 0.0000 1
Cu1 0.5000 0.5000 0.5000 1
# - SG = No. 225
# - energy relative to the elements (eV/atom) = -0.353
# - density (g cm⁻³) = 8.6

# MgRe2O12, relaxed, DFT GGA-PBE
data_MgRe2O12
_chemical_formula_sum 'Mg1 Re2 O12'
_symmetry_space_group_name_H-M 'P 1'
_symmetry_Int_Tables_number 1
_cell_length_a 6.3779
_cell_length_b 7.1931
_cell_length_c 7.4619
_cell_angle_alpha 100.79
_cell_angle_beta 110.00
_cell_angle_gamma 108.93
loop_
_symmetry_equiv_pos_as_xyz
'x,y,z'
loop_
_atom_site_label
_atom_site_fract_x
_atom_site_fract_y
_atom_site_fract_z
_atom_site_occupancy
O1 0.7196 0.7019 0.4237 1
O2 0.7695 0.6362 0.7035 1
O3 0.3277 0.2710 0.2736 1
O4 0.0593 0.1333 0.8327 1
O5 0.6817 0.1048 0.8602 1
O6 0.3579 0.3309 0.6455 1
O7 0.8805 0.3109 0.5261 1
O8 0.1904 0.7240 0.4680 1
O9 0.7605 0.4087 0.1332 1
O10 0.9071 0.8351 0.1465 1
O11 0.3963 0.1338 0.2392 1
O12 0.2593 0.5858 0.9120 1
Re1 0.1382 0.3419 0.7301 1
Re2 0.8957 0.6653 0.2937 1
Mg1 0.8612 0.9159 0.9065 1
# - SG = No. 1
# - spin magnetization (μB per formula unit) = 1.869
# - MP2020-corrected energy (eV/atom) = -6.766
# - energy relative to the elements (eV/atom) = -1.041
# - density (g cm⁻³) = 3.4

# Mg14CuW, relaxed, DFT GGA-PBE
data_Mg14CuW
_chemical_formula_sum 'Mg14 Cu1 W1'
_symmetry_space_group_name_H-M 'P 1'
_symmetry_Int_Tables_number 1
_cell_length_a 6.2105
_cell_length_b 6.2327
_cell_length_c 9.8476
_cell_angle_alpha 90.00
_cell_angle_beta 90.00
_cell_angle_gamma 120.12
loop_
_symmetry_equiv_pos_as_xyz
'x,y,z'
loop_
_atom_site_label
_atom_site_fract_x
_atom_site_fract_y
_atom_site_fract_z
_atom_site_occupancy
Mg1 0.1694 0.3347 0.6250 1
Mg2 0.8449 0.6725 0.3689 1
Mg3 0.6655 0.8329 0.6250 1
Mg4 0.8409 0.1705 0.8838 1
Mg5 0.6670 0.8296 0.1250 1
Mg6 0.3239 0.6643 0.3587 1
Mg7 0.1697 0.8348 0.6250 1
Mg8 0.3239 0.1596 0.8913 1
Mg9 0.3239 0.1596 0.3587 1
Mg10 0.6655 0.3326 0.6250 1
Mg11 0.8449 0.6725 0.8811 1
Mg12 0.6670 0.3374 0.1250 1
Mg13 0.8409 0.1705 0.3662 1
Mg14 0.3239 0.6643 0.8913 1
Cu1 0.1664 0.3332 0.1250 1
W1 0.1621 0.8311 0.1250 1
# - SG = No. 38
# - spin magnetization (μB per formula unit) = 0.000
# - energy relative to the elements (eV/atom) = 0.163
# - density (g cm⁻³) = 3.0

# Li8BiS6, relaxed, DFT GGA-PBE
data_Li8BiS6
_chemical_formula_sum 'Li16 Bi2 S12'
_symmetry_space_group_name_H-M 'P 1'
_symmetry_Int_Tables_number 1
_cell_length_a 7.1146
_cell_length_b 7.1146
_cell_length_c 13.4791
_cell_angle_alpha 90.00
_cell_angle_beta 90.00
_cell_angle_gamma 120.00
loop_
_symmetry_equiv_pos_as_xyz
'x,y,z'
loop_
_atom_site_label
_atom_site_fract_x
_atom_site_fract_y
_atom_site_fract_z
_atom_site_occupancy
S1 0.3536 0.3536 0.9503 1
S2 0.3333 0.6667 0.2136 1
S3 0.6464 0.0000 0.9503 1
S4 0.3333 0.6667 0.7136 1
S5 0.6667 0.3333 0.7136 1
S6 0.6667 0.3333 0.2136 1
S7 0.0000 0.6464 0.9503 1
S8 0.0000 0.0000 0.1882 1
S9 0.6464 0.6464 0.4503 1
S10 0.0000 0.0000 0.6882 1
S11 0.3536 0.0000 0.4503 1
S12 0.0000 0.3536 0.4503 1
Li1 0.0000 0.3259 0.2655 1
Li2 0.3888 0.0000 0.6328 1
Li3 0.0000 0.6741 0.7655 1
Li4 0.3333 0.6667 0.3961 1
Li5 0.3888 0.3888 0.1328 1
Li6 0.6741 0.6741 0.2655 1
Li7 0.6741 0.0000 0.7655 1
Li8 0.3333 0.6667 0.8961 1
Li9 0.6667 0.3333 0.3961 1
Li10 0.6112 0.0000 0.1328 1
Li11 0.3259 0.0000 0.2655 1
Li12 0.3259 0.3259 0.7655 1
Li13 0.6667 0.3333 0.8961 1
Li14 0.6112 0.6112 0.6328 1
Li15 0.0000 0.3888 0.6328 1
Li16 0.0000 0.6112 0.1328 1
Bi1 0.0000 0.0000 0.9922 1
Bi2 0.0000 0.0000 0.4922 1
# - SG = No. 185
# - spin magnetization (μB per formula unit) = 1.000
# - MP2020-corrected energy (eV/atom) = -4.173
# - energy relative to the elements (eV/atom) = -1.241
# - density (g cm⁻³) = 2.6

# La15Cd2Rh5, relaxed, DFT GGA-PBE
data_La15Cd2Rh5
_chemical_formula_sum 'La30 Cd4 Rh10'
_symmetry_space_group_name_H-M 'P 1'
_symmetry_Int_Tables_number 1
_cell_length_a 15.9621
_cell_length_b 15.9621
_cell_length_c 15.9621
_cell_angle_alpha 37.22
_cell_angle_beta 37.22
_cell_angle_gamma 37.22
loop_
_symmetry_equiv_pos_as_xyz
'x,y,z'
loop_
_atom_site_label
_atom_site_fract_x
_atom_site_fract_y
_atom_site_fract_z
_atom_site_occupancy
La1 0.7064 0.3240 0.3240 1
La2 0.3240 0.7064 0.3240 1
La3 0.2654 0.2654 0.2654 1
La4 0.6165 0.9952 0.6165 1
La5 0.9952 0.6165 0.6165 1
La6 0.3198 0.9418 0.3198 1
La7 0.7593 0.1344 0.7593 1
La8 0.0826 0.0826 0.7055 1
La9 0.3198 0.3198 0.9418 1
La10 0.0826 0.7055 0.0826 1
La11 0.4203 0.7978 0.7978 1
La12 0.5596 0.9401 0.9401 1
La13 0.6165 0.6165 0.9952 1
La14 0.7792 0.1734 0.1734 1
La15 0.9418 0.3198 0.3198 1
La16 0.7593 0.7593 0.1344 1
La17 0.1734 0.7792 0.1734 1
La18 0.1119 0.1119 0.1119 1
La19 0.7055 0.0826 0.0826 1
La20 0.1344 0.7593 0.7593 1
La21 0.7978 0.7978 0.4203 1
La22 0.5216 0.5216 0.5216 1
La23 0.3240 0.3240 0.7064 1
La24 0.9401 0.5596 0.9401 1
La25 0.8489 0.4771 0.4771 1
La26 0.9401 0.9401 0.5596 1
La27 0.4771 0.4771 0.8489 1
La28 0.4771 0.8489 0.4771 1
La29 0.7978 0.4203 0.7978 1
La30 0.1734 0.1734 0.7792 1
Rh1 0.9312 0.9312 0.3724 1
Rh2 0.6319 0.6319 0.1965 1
Rh3 0.6319 0.1965 0.6319 1
Rh4 0.9995 0.9995 0.9995 1
Rh5 0.0885 0.5174 0.0885 1
Rh6 0.3724 0.9312 0.9312 1
Rh7 0.0885 0.0885 0.5174 1
Rh8 0.1965 0.6319 0.6319 1
Rh9 0.5174 0.0885 0.0885 1
Rh10 0.9312 0.3724 0.9312 1
Cd1 0.1229 0.4402 0.4402 1
Cd2 0.4402 0.1229 0.4402 1
Cd3 0.4402 0.4402 0.1229 1
Cd4 0.3924 0.3924 0.3924 1
# - SG = No. 160
# - spin magnetization (μB per formula unit) = 0.084
# - energy relative to the elements (eV/atom) = -0.493
# - density (g cm⁻³) = 7.0